PBE with a Hubbard U PWO5, relaxed; SG = Pnma; ΔH_f (0 K) = -2.39 eV per atom; calculated total energy = -415.90 eV for the cell shown; ΔE to the lowest computed polymorph = 47 kJ/mol of formula units; M_tot = 0.143 μB per atom
1.0
5.421 0.000 0.000
0.000 12.501 0.000
0.000 0.000 13.299
P W O
8 8 40
Direct
0.235 0.368 0.520
0.235 0.132 0.520
0.765 0.632 0.480
0.265 0.868 0.020
0.765 0.868 0.480
0.735 0.368 0.980
0.265 0.632 0.020
0.735 0.132 0.980
0.757 0.598 0.848
0.757 0.902 0.848
0.743 0.402 0.348
0.743 0.098 0.348
0.257 0.598 0.652
0.243 0.098 0.152
0.257 0.902 0.652
0.243 0.402 0.152
0.250 0.560 0.113
0.750 0.560 0.387
0.486 0.923 0.756
0.251 0.750 0.668
0.751 0.750 0.832
0.515 0.880 0.968
0.514 0.423 0.244
0.747 0.250 0.932
0.753 0.750 0.432
0.485 0.380 0.032
0.954 0.383 0.049
0.250 0.060 0.613
0.750 0.060 0.887
0.486 0.577 0.756
0.253 0.750 0.068
0.015 0.620 0.532
0.986 0.923 0.744
0.546 0.617 0.549
0.986 0.577 0.744
0.985 0.120 0.468
0.249 0.250 0.168
0.954 0.117 0.049
0.546 0.883 0.549
0.985 0.380 0.468
0.750 0.440 0.887
0.485 0.120 0.032
0.015 0.880 0.532
0.046 0.617 0.951
0.750 0.940 0.387
0.454 0.383 0.451
0.250 0.440 0.613
0.014 0.423 0.256
0.454 0.117 0.451
0.014 0.077 0.256
0.250 0.940 0.113
0.247 0.250 0.568
0.514 0.077 0.244
0.515 0.620 0.968
0.046 0.883 0.951
0.749 0.250 0.332